Mg2IrWO6: relaxed, GGA+U.

## Properties
* space group: P2_1/c (14)
* total moment: 1.00 μB/f.u.
* DFT formation energy: -2.153 eV per atom

Cell lengths 5.377, 5.266, 9.269 Å; angles 55.71, 90.00, 90.00 degrees
Positions (direct):
O 0.591 0.374 0.753
O 0.329 0.264 0.056
O 0.671 0.736 0.944
O 0.318 0.909 0.421
O 0.829 0.736 0.444
O 0.091 0.626 0.747
O 0.682 0.091 0.579
O 0.182 0.909 0.921
O 0.909 0.374 0.253
O 0.818 0.091 0.079
O 0.171 0.264 0.556
O 0.409 0.626 0.247
Mg 0.041 0.735 0.258
Mg 0.959 0.265 0.742
Mg 0.459 0.735 0.758
Mg 0.541 0.265 0.242
Ir 0.500 0.500 0.500
Ir 0.000 0.500 0.000
W 0.500 0.000 0.000
W 0.000 0.000 0.500

=====

MgIr2W2O12: relaxed, GGA+U.

## Properties
* space group: P1 (1)
* total moment: 1.83 μB/f.u.
* DFT formation energy: -1.767 eV per atom

Cell lengths 5.185, 5.366, 7.506 Å; angles 90.13, 90.10, 89.98 degrees
Positions (direct):
O 0.127 0.482 0.752
O 0.297 0.700 0.043
O 0.307 0.700 0.457
O 0.785 0.775 0.939
O 0.907 0.511 0.253
O 0.796 0.792 0.553
O 0.594 0.023 0.248
O 0.681 0.311 0.564
O 0.686 0.309 0.937
O 0.196 0.201 0.044
O 0.197 0.199 0.458
O 0.409 0.958 0.747
Mg 0.519 0.558 0.752
Ir 0.003 0.498 0.505
Ir 0.497 0.000 0.997
W 0.500 0.003 0.488
W 0.000 0.494 0.014

=====

MnZn2IrO6: relaxed, GGA+U.

## Properties
* space group: P2_1/c (14)
* total moment: 2.01 μB/f.u.
* DFT formation energy: -1.551 eV per atom

Cell lengths 5.178, 5.170, 9.487 Å; angles 57.31, 90.00, 90.00 degrees
Positions (direct):
Zn 0.468 0.749 0.746
Zn 0.032 0.749 0.246
Zn 0.968 0.251 0.754
Zn 0.532 0.251 0.254
Mn 0.000 0.000 0.500
Mn 0.500 0.000 0.000
O 0.822 0.746 0.426
O 0.323 0.888 0.438
O 0.409 0.611 0.268
O 0.091 0.611 0.768
O 0.178 0.254 0.574
O 0.823 0.112 0.062
O 0.677 0.112 0.562
O 0.591 0.389 0.732
O 0.322 0.254 0.074
O 0.678 0.746 0.926
O 0.177 0.888 0.938
O 0.909 0.389 0.232
Ir 0.000 0.500 0.000
Ir 0.500 0.500 0.500

=====

MoIrO6: relaxed, GGA+U.

## Properties
* space group: P2_1/c (14)
* DFT formation energy: -1.435 eV per atom

Cell lengths 5.353, 5.274, 9.193 Å; angles 54.99, 90.00, 90.00 degrees
Positions (direct):
O 0.216 0.258 0.531
O 0.713 0.183 0.531
O 0.284 0.258 0.031
O 0.007 0.688 0.751
O 0.493 0.688 0.251
O 0.716 0.742 0.969
O 0.287 0.817 0.469
O 0.787 0.183 0.031
O 0.784 0.742 0.469
O 0.507 0.312 0.749
O 0.993 0.312 0.249
O 0.213 0.817 0.969
Ir 0.000 0.500 0.000
Ir 0.500 0.500 0.500
Mo 0.000 0.000 0.500
Mo 0.500 0.000 0.000

=====

Sr3NiIrO6: relaxed, GGA+U.

## Properties
* space group: R-3c (167)
* total moment: 1.00 μB/f.u.
* DFT formation energy: -2.292 eV per atom

Cell lengths 6.739, 6.739, 6.739 Å; angles 91.72, 91.72, 91.72 degrees
Positions (direct):
Ir 0.500 0.500 0.500
Ir 0.000 0.000 0.000
O 0.409 0.536 0.212
O 0.091 0.288 0.964
O 0.788 0.591 0.464
O 0.591 0.464 0.788
O 0.212 0.409 0.536
O 0.909 0.712 0.036
O 0.288 0.964 0.091
O 0.536 0.212 0.409
O 0.964 0.091 0.288
O 0.036 0.909 0.712
O 0.464 0.788 0.591
O 0.712 0.036 0.909
Sr 0.750 0.386 0.114
Sr 0.114 0.750 0.386
Sr 0.250 0.614 0.886
Sr 0.886 0.250 0.614
Sr 0.614 0.886 0.250
Sr 0.386 0.114 0.750
Ni 0.750 0.750 0.750
Ni 0.250 0.250 0.250

=====

VIrO3: relaxed, GGA+U.

## Properties
* space group: Pm-3m (221)
* total moment: 1.98 μB/f.u.
* DFT formation energy: -0.647 eV per atom

Cell lengths 3.927, 3.927, 3.927 Å; angles 90.00, 90.00, 90.00 degrees
Positions (direct):
V 0.000 0.000 0.000
O 0.500 0.000 0.500
O 0.000 0.500 0.500
O 0.500 0.500 0.000
Ir 0.500 0.500 0.500

=====

KLaMgWO6: relaxed, GGA+U.

## Properties
* space group: F-43m (216)
* total moment: 0.00 μB/f.u.
* DFT formation energy: -2.826 eV per atom

Cell lengths 5.652, 5.652, 5.652 Å; angles 60.00, 60.00, 60.00 degrees
Positions (direct):
Mg 0.000 0.000 0.000
La 0.750 0.750 0.750
O 0.257 0.743 0.257
O 0.743 0.257 0.257
O 0.257 0.743 0.743
O 0.743 0.257 0.743
O 0.743 0.743 0.257
O 0.257 0.257 0.743
K 0.250 0.250 0.250
W 0.500 0.500 0.500

=====

KSrLaMnO6: relaxed, GGA+U.

## Properties
* space group: Pnnn (48)
* energy relative to the lowest polymorph listed for this composition: 0.000 eV per atom
* total moment: 1.00 μB/f.u.
* DFT formation energy: -2.353 eV per atom

Cell lengths 8.478, 8.437, 8.398 Å; angles 90.00, 90.00, 90.00 degrees
Positions (direct):
O 0.026 0.773 0.743
O 0.212 0.270 0.024
O 0.768 0.527 0.270
O 0.268 0.973 0.770
O 0.232 0.473 0.270
O 0.974 0.773 0.257
O 0.788 0.730 0.024
O 0.232 0.527 0.730
O 0.212 0.730 0.976
O 0.974 0.227 0.743
O 0.026 0.227 0.257
O 0.732 0.973 0.230
O 0.288 0.770 0.524
O 0.768 0.473 0.730
O 0.526 0.273 0.757
O 0.712 0.770 0.476
O 0.712 0.230 0.524
O 0.732 0.027 0.770
O 0.526 0.727 0.243
O 0.474 0.727 0.757
O 0.288 0.230 0.476
O 0.474 0.273 0.243
O 0.268 0.027 0.230
O 0.788 0.270 0.976
Sr 0.000 0.500 0.000
Sr 0.500 0.000 0.500
Sr 0.500 0.500 0.500
Sr 0.000 0.000 0.000
La 0.250 0.250 0.750
La 0.750 0.750 0.750
La 0.750 0.250 0.250
La 0.250 0.750 0.250
Mn 0.750 0.750 0.250
Mn 0.250 0.750 0.750
Mn 0.750 0.250 0.750
Mn 0.250 0.250 0.250
K 0.500 0.500 0.000
K 0.000 0.000 0.500
K 0.500 0.000 0.000
K 0.000 0.500 0.500